Computed, not measured: Li2MnFeB2O6 after structural relaxation at the GGA+U level of DFT.

V	252.2	Å³ per cell
crystal system	triclinic
total DFT energy (no corrections)	-7.1217	eV/atom
offset from the most stable computed form	0.003	eV per atom
formation energy from the elements	-29.0	eV per formula unit

Cell: 5.1581 6.0287 9.1429 Å, 75.93 89.57 66.78°
Space group P-1 (No. 2)
One atom of each set of equivalent atoms:
Li  0.2418  0.1803  0.3105 (multiplicity 2)
Li  0.2490  0.8327  0.1847 (multiplicity 2)
Mn  0.2133  0.2640  0.6260 (multiplicity 2)
Fe  0.2935  0.7327  0.8740 (multiplicity 2)
B  0.2267  0.2400  0.9619 (multiplicity 2)
B  0.2720  0.7614  0.5398 (multiplicity 2)
O  0.0577  0.6733  0.5672 (multiplicity 2)
O  0.1172  0.1784  0.8463 (multiplicity 2)
O  0.1311  0.2078  0.1037 (multiplicity 2)
O  0.3589  0.8043  0.3964 (multiplicity 2)
O  0.3860  0.8142  0.6583 (multiplicity 2)
O  0.4462  0.3241  0.9353 (multiplicity 2)